(1)
A plane-wave DFT calculation with GGA-PBE was carried out for an optimized crystal structure of NaUH9Se2O12.

Cell and atoms, written as CIF:
```
data_NaUH9Se2O12
_cell_length_a 10.582
_cell_length_b 8.979
_cell_length_c 14.044
_cell_angle_alpha 65.86
_cell_angle_beta 90.00
_cell_angle_gamma 90.00
_space_group_name_H-M_alt 'P 1'
_space_group_IT_number 1
_space_group_name_Hall 'P 1'
loop_
_atom_site_label
_atom_site_fract_x
_atom_site_fract_y
_atom_site_fract_z
Na1 0.424 0.135 0.276
Na2 0.076 0.135 0.776
Na3 0.576 0.865 0.724
Na4 0.924 0.865 0.224
U1 0.681 0.446 0.340
U2 0.819 0.446 0.840
U3 0.319 0.554 0.660
U4 0.181 0.554 0.160
H1 0.169 0.121 0.470
H2 0.331 0.121 0.970
H3 0.831 0.879 0.530
H4 0.669 0.879 0.030
H5 0.283 0.842 0.264
H6 0.217 0.842 0.764
H7 0.717 0.158 0.736
H8 0.783 0.158 0.236
H9 0.196 0.992 0.237
H10 0.304 0.992 0.737
H11 0.804 0.008 0.763
H12 0.696 0.008 0.263
H13 0.294 0.932 0.478
H14 0.206 0.932 0.978
H15 0.706 0.068 0.522
H16 0.794 0.068 0.022
H17 0.385 0.059 0.489
H18 0.115 0.059 0.989
H19 0.615 0.941 0.511
H20 0.885 0.941 0.011
H21 0.551 0.398 0.130
H22 0.949 0.398 0.630
H23 0.449 0.602 0.870
H24 0.051 0.602 0.370
H25 0.580 0.288 0.070
H26 0.920 0.288 0.570
H27 0.420 0.712 0.930
H28 0.080 0.712 0.430
H29 0.533 0.785 0.381
H30 0.967 0.785 0.881
H31 0.467 0.215 0.619
H32 0.033 0.215 0.119
H33 0.652 0.870 0.399
H34 0.848 0.870 0.899
H35 0.348 0.130 0.601
H36 0.152 0.130 0.101
Se1 0.359 0.512 0.405
Se2 0.141 0.512 0.905
Se3 0.641 0.488 0.595
Se4 0.859 0.488 0.095
Se5 0.994 0.244 0.370
Se6 0.506 0.244 0.870
Se7 0.006 0.756 0.630
Se8 0.494 0.756 0.130
O1 0.580 0.266 0.375
O2 0.920 0.266 0.875
O3 0.420 0.734 0.625
O4 0.080 0.734 0.125
O5 0.771 0.635 0.298
O6 0.729 0.635 0.798
O7 0.229 0.365 0.702
O8 0.271 0.365 0.202
O9 0.513 0.591 0.377
O10 0.987 0.591 0.877
O11 0.487 0.409 0.623
O12 0.013 0.409 0.123
O13 0.290 0.627 0.284
O14 0.210 0.627 0.784
O15 0.710 0.373 0.716
O16 0.790 0.373 0.216
O17 0.305 0.610 0.479
O18 0.195 0.610 0.979
O19 0.695 0.390 0.521
O20 0.805 0.390 0.021
O21 0.061 0.436 0.316
O22 0.439 0.436 0.816
O23 0.939 0.564 0.684
O24 0.561 0.564 0.184
O25 0.860 0.273 0.428
O26 0.640 0.273 0.928
O27 0.140 0.727 0.572
O28 0.360 0.727 0.072
O29 0.085 0.156 0.487
O30 0.415 0.156 0.987
O31 0.915 0.844 0.513
O32 0.585 0.844 0.013
O33 0.285 0.962 0.242
O34 0.215 0.962 0.742
O35 0.715 0.038 0.758
O36 0.785 0.038 0.258
O37 0.313 0.049 0.448
O38 0.187 0.049 0.948
O39 0.687 0.951 0.552
O40 0.813 0.951 0.052
O41 0.537 0.289 0.132
O42 0.963 0.289 0.632
O43 0.463 0.711 0.868
O44 0.037 0.711 0.368
O45 0.563 0.891 0.380
O46 0.937 0.891 0.880
O47 0.437 0.109 0.620
O48 0.063 0.109 0.120
```

Results
formation energy: -41.9 eV/f.u.
space group: No. 14


(2)
A plane-wave DFT calculation with GGA-PBE was carried out for an optimized crystal structure of Na2ZnH4Se2O10.

Cell and atoms, written as CIF:
```
data_Na2ZnH4Se2O10
_cell_length_a 5.693
_cell_length_b 5.992
_cell_length_c 7.349
_cell_angle_alpha 108.46
_cell_angle_beta 99.08
_cell_angle_gamma 107.61
_space_group_name_H-M_alt 'P 1'
_space_group_IT_number 1
_space_group_name_Hall 'P 1'
loop_
_atom_site_label
_atom_site_fract_x
_atom_site_fract_y
_atom_site_fract_z
Na1 0.339 0.711 0.251
Na2 0.661 0.289 0.749
Zn1 0.000 0.000 0.000
H1 0.857 0.873 0.614
H2 0.143 0.127 0.386
H3 0.078 0.150 0.703
H4 0.922 0.850 0.297
Se1 0.333 0.662 0.760
Se2 0.667 0.338 0.240
O1 0.095 0.664 0.872
O2 0.905 0.336 0.128
O3 0.608 0.757 0.940
O4 0.392 0.243 0.060
O5 0.352 0.833 0.621
O6 0.648 0.167 0.379
O7 0.276 0.357 0.624
O8 0.724 0.643 0.376
O9 0.929 0.039 0.730
O10 0.071 0.961 0.270
```

Results
formation energy: -28.3 eV/f.u.
space group: No. 2